Record 1
Below is a geometry-optimized HoSi structure, with properties calculated at the r2SCAN level.

a = 3.802 Å, b = 4.249 Å, c = 5.650 Å
α = 112.09°, β = 90.00°, γ = 90.00°
Fractional positions:
Si1 0.750 0.424 0.847
Si2 0.250 0.576 0.153
Ho1 0.750 0.141 0.281
Ho2 0.250 0.859 0.719

=====

Record 2
Below is a geometry-optimized Ho5Si4 structure, with properties calculated at the r2SCAN level.

a = 7.380 Å, b = 7.633 Å, c = 14.478 Å
α = 90.00°, β = 90.00°, γ = 90.00°
Fractional positions:
Ho1 0.352 0.011 0.250
Ho2 0.471 0.683 0.901
Ho3 0.852 0.489 0.250
Ho4 0.648 0.989 0.750
Ho5 0.971 0.817 0.901
Ho6 0.529 0.317 0.401
Ho7 0.148 0.511 0.750
Ho8 0.817 0.321 0.623
Ho9 0.183 0.679 0.377
Ho10 0.029 0.183 0.401
Ho11 0.529 0.317 0.099
Ho12 0.317 0.179 0.877
Ho13 0.183 0.679 0.123
Ho14 0.471 0.683 0.599
Ho15 0.683 0.821 0.123
Ho16 0.317 0.179 0.623
Ho17 0.029 0.183 0.099
Ho18 0.817 0.321 0.877
Ho19 0.971 0.817 0.599
Ho20 0.683 0.821 0.377
Si1 0.980 0.896 0.250
Si2 0.145 0.472 0.540
Si3 0.480 0.604 0.250
Si4 0.645 0.028 0.540
Si5 0.355 0.972 0.040
Si6 0.234 0.371 0.250
Si7 0.766 0.629 0.750
Si8 0.855 0.528 0.460
Si9 0.855 0.528 0.040
Si10 0.355 0.972 0.460
Si11 0.520 0.396 0.750
Si12 0.020 0.104 0.750
Si13 0.645 0.028 0.960
Si14 0.145 0.472 0.960
Si15 0.734 0.129 0.250
Si16 0.266 0.871 0.750

=====

Record 3
Below is a geometry-optimized HoSi structure, with properties calculated at the r2SCAN level.

a = 3.806 Å, b = 5.658 Å, c = 7.850 Å
α = 90.00°, β = 90.00°, γ = 90.00°
Fractional positions:
Si1 0.750 0.129 0.538
Si2 0.250 0.871 0.462
Si3 0.750 0.371 0.038
Si4 0.250 0.629 0.962
Ho1 0.750 0.615 0.679
Ho2 0.250 0.115 0.821
Ho3 0.750 0.885 0.179
Ho4 0.250 0.385 0.321

=====

Record 4
Below is a geometry-optimized HoTiSi structure, with properties calculated at the r2SCAN level.

a = 4.003 Å, b = 4.003 Å, c = 7.606 Å
α = 90.00°, β = 90.00°, γ = 90.00°
Fractional positions:
Ho1 0.250 0.250 0.652
Ho2 0.750 0.750 0.348
Ti1 0.750 0.250 0.000
Ti2 0.250 0.750 0.000
Si1 0.250 0.250 0.239
Si2 0.750 0.750 0.761

=====

Record 5
Below is a geometry-optimized HoZnSi structure, with properties calculated at the r2SCAN level.

a = 4.065 Å, b = 4.065 Å, c = 4.024 Å
α = 90.00°, β = 90.00°, γ = 120.00°
Fractional positions:
Zn1 0.667 0.333 0.500
Si1 0.333 0.667 0.500
Ho1 0.000 0.000 0.000

=====

Record 6
Below is a geometry-optimized SmHo3 structure, with properties calculated at the r2SCAN level.

a = 6.146 Å, b = 6.146 Å, c = 6.146 Å
α = 131.65°, β = 131.65°, γ = 70.78°
Fractional positions:
Sm1 0.000 0.000 0.000
Ho1 0.500 0.500 0.000
Ho2 0.750 0.250 0.500
Ho3 0.250 0.750 0.500

Calculated values
Its distance to the lowest polymorph of the same formula is 47.2 meV/atom.

=====

Record 7
Below is a geometry-optimized SmHo3 structure, with properties calculated at the r2SCAN level.

a = 7.223 Å, b = 7.223 Å, c = 5.776 Å
α = 90.00°, β = 90.00°, γ = 120.00°
Fractional positions:
Ho1 0.835 0.670 0.750
Ho2 0.165 0.835 0.250
Ho3 0.670 0.835 0.250
Ho4 0.835 0.165 0.750
Ho5 0.165 0.330 0.250
Ho6 0.330 0.165 0.750
Sm1 0.333 0.667 0.750
Sm2 0.667 0.333 0.250

Calculated values
Its distance to the lowest polymorph of the same formula is 0.0 meV/atom.

=====

Record 8
Below is a geometry-optimized SmHoZn2 structure, with properties calculated at the r2SCAN level.

a = 5.058 Å, b = 5.058 Å, c = 5.058 Å
α = 60.00°, β = 60.00°, γ = 60.00°
Fractional positions:
Sm1 0.750 0.750 0.750
Zn1 0.000 0.000 0.000
Zn2 0.500 0.500 0.500
Ho1 0.250 0.250 0.250

=====

Record 9
Below is a geometry-optimized Ho3Sn7 structure, with properties calculated at the r2SCAN level.

a = 4.367 Å, b = 4.408 Å, c = 13.476 Å
α = 90.00°, β = 99.23°, γ = 90.00°
Fractional positions:
Sn1 0.903 0.000 0.807
Sn2 0.213 0.500 0.425
Sn3 0.597 0.500 0.193
Sn4 0.097 0.000 0.193
Sn5 0.787 0.500 0.575
Sn6 0.500 0.000 0.000
Sn7 0.403 0.500 0.807
Ho1 0.000 0.500 0.000
Ho2 0.689 0.000 0.376
Ho3 0.311 0.000 0.624

=====

Record 10
Below is a geometry-optimized TbHo3 structure, with properties calculated at the r2SCAN level.

a = 5.005 Å, b = 5.005 Å, c = 5.005 Å
α = 90.00°, β = 90.00°, γ = 90.00°
Fractional positions:
Ho1 0.500 0.500 0.000
Ho2 0.500 0.000 0.500
Ho3 0.000 0.500 0.500
Tb1 0.000 0.000 0.000

Calculated values
Its distance to the lowest polymorph of the same formula is 3.2 meV/atom.

=====

| no. | total moment (μB/atom) | calculated total energy (eV per atom) |
| --- | --- | --- |
| 1 | 0.00 | -21.72 |
| 2 | 0.14 | -22.99 |
| 3 | 0.00 | -21.72 |
| 4 | 0.16 | -18.94 |
| 5 | 0.00 | -17.56 |
| 6 | 0.00 | -32.05 |
| 7 | 0.60 | -32.10 |
| 8 | 0.14 | -20.47 |
| 9 | 0.00 | -27.72 |
| 10 | 0.00 | -32.42 |